Record 1
Material: Ca7Sn3S13
Method: DFT, PBE
State: relaxed

Cell lengths 11.5973, 22.1629, 8.7114 Å; angles 90.00, 90.00, 90.00 degrees
Space group Pnma (No. 62)
Inequivalent atoms, fractional coordinates:
Ca 0.0302 0.1582 0.0859
Ca 0.1512 0.7500 0.4072
Ca 0.1567 0.1572 0.6222
Ca 0.1859 0.5367 0.6160
Sn 0.0490 0.5527 0.1958
Sn 0.2412 0.2500 0.3143
S 0.0346 0.2500 0.3567
S 0.0721 0.0448 0.3093
S 0.0778 0.6245 0.3973
S 0.1162 0.2500 0.8267
S 0.1432 0.7500 0.0411
S 0.1518 0.0736 0.8634
S 0.1716 0.5790 0.9845
S 0.2287 0.6656 0.6533

Values from the calculation:
Energy: -4.77 eV per atom
Crystal system: orthorhombic
Volume: 24.338 Å³ per atom

Record 2
Material: MnB
Method: DFT, PBE
State: relaxed

Cell lengths 6.7701, 6.7701, 3.9608 Å; angles 90.00, 90.00, 90.00 degrees
Space group P4_2/ncm (No. 138, origin choice 2)
Inequivalent atoms, fractional coordinates:
Mn 0.1237 0.1237 0.1287
B 0.0695 0.0695 0.6327

Values from the calculation:
Energy: -7.92 eV per atom
Crystal system: tetragonal
Volume: 11.346 Å³ per atom

Record 3
Material: LuBeNF6
Method: DFT, PBE
State: relaxed

Cell lengths 6.4974, 5.9381, 7.2216 Å; angles 90.00, 110.51, 90.00 degrees
Space group P2_1/m (No. 11)
Inequivalent atoms, fractional coordinates:
Lu 0.1552 0.2500 0.2361
Be 0.2705 0.7500 0.5419
N 0.2388 0.2500 0.8527
F 0.0938 0.7500 0.6394
F 0.1521 0.0563 0.9527
F 0.2483 0.5395 0.4064
F 0.4978 0.2500 0.2939

Values from the calculation:
Energy: -5.56 eV per atom
Crystal system: monoclinic
Volume: 14.498 Å³ per atom

Record 4
Material: Rh3Br
Method: DFT, PBE
State: relaxed

Cell lengths 4.1074, 4.1074, 7.5025 Å; angles 90.00, 90.00, 90.00 degrees
Space group I4/mmm (No. 139)
Inequivalent atoms, fractional coordinates:
Rh 0.0000 0.0000 0.0000
Rh 0.0000 0.5000 0.2500
Br 0.0000 0.0000 0.5000

Values from the calculation:
Energy: -5.25 eV per atom
Crystal system: tetragonal
Volume: 15.822 Å³ per atom

Among the records above, which one has the highest energy? Ca7Sn3S13

Which of these has the highest energy? Ca7Sn3S13

Copy entry 3 word for word.
Material: LuBeNF6
Method: DFT, PBE
State: relaxed

Cell lengths 6.4974, 5.9381, 7.2216 Å; angles 90.00, 110.51, 90.00 degrees
Space group P2_1/m (No. 11)
Inequivalent atoms, fractional coordinates:
Lu 0.1552 0.2500 0.2361
Be 0.2705 0.7500 0.5419
N 0.2388 0.2500 0.8527
F 0.0938 0.7500 0.6394
F 0.1521 0.0563 0.9527
F 0.2483 0.5395 0.4064
F 0.4978 0.2500 0.2939

Values from the calculation:
Energy: -5.56 eV per atom
Crystal system: monoclinic
Volume: 14.498 Å³ per atom